La2GeS5: relaxed, PBE-GGA.

Properties
Final energy (eV per atom): -5.781
Offset from the most stable computed form (meV per atom): 136
DFT formation energy (eV per atom): -1.70
Corrected total energy (MP2020 scheme) (eV/atom): -6.10
Crystal system: monoclinic

Unit cell a=9.7086 b=7.3241 c=11.2707 alpha=90.00 beta=98.25 gamma=90.00
Space group P2_1/c (No. 14)
Unique sites:
La  0.0046  0.0602  0.3282 [4 per cell]
La  0.2420  0.6052  0.5099 [4 per cell]
Ge  0.3875  0.0920  0.7097 [4 per cell]
S  0.0342  0.2175  0.0505 [4 per cell]
S  0.1986  0.6759  0.7523 [4 per cell]
S  0.2291  0.1641  0.8256 [4 per cell]
S  0.3155  0.5155  0.0327 [4 per cell]
S  0.4848  0.1170  0.1563 [4 per cell]